GGA-PBE In2SiAg2Se6, optimized geometry; space-group type = Cc
1.0
3.7986 6.4754 0.0000
-3.7986 6.4754 0.0000
0.0000 4.2912 12.0919
In Si Ag Se
4 2 4 12
Cartesian
-0.7081 9.4198 11.3533
0.7081 7.2742 5.3074
-0.4475 6.2146 8.9655
0.4475 4.0690 2.9195
2.0180 10.7920 6.0227
-2.0180 12.9376 12.0686
-1.5492 10.2799 7.0721
0.6922 12.6983 2.9913
1.5492 8.1343 1.0262
-0.6922 14.8439 9.0372
1.8665 8.6675 11.4910
-0.0509 5.2721 11.4342
-1.8069 8.5171 9.1104
0.0509 3.1265 5.3883
-1.8028 4.2932 1.5322
-1.7782 8.5144 2.2461
-1.8665 6.5219 5.4451
1.8069 6.3715 3.0645
1.8028 6.4388 7.5782
-0.1711 12.0066 11.0590
0.1711 9.8610 5.0130
1.7782 10.6600 8.2921



GGA-PBE MgTi8O16, optimized geometry; space-group type = P-1; polymorph energy (0 for the lowest one) = 0.000 eV/atom
1.0
5.3319 -0.0002 -0.0926
-0.0008 5.6027 -0.0892
-0.1650 -0.1514 9.2963
Mg Ti O
1 8 16
Cartesian
2.5830 2.7256 4.5573
0.3470 2.0197 5.9688
3.1438 3.2765 8.0496
1.9539 5.1354 3.2133
4.5953 0.6556 1.0242
4.8191 3.4315 3.1457
2.0223 2.1747 1.0649
3.2122 0.3158 5.9012
0.5708 4.7956 8.0903
2.3163 2.1830 6.5985
4.9303 3.2661 7.0416
0.2044 4.9894 2.4037
2.9238 0.5245 2.0714
2.8498 3.2681 2.5161
0.2358 2.1851 2.0729
4.9617 0.4618 6.7108
2.2423 4.9267 7.0431
4.1776 4.6422 9.0367
1.6942 0.8591 4.6248
3.6689 1.9637 -0.0433
0.8540 3.6107 4.4973
0.9885 0.8090 0.0778
3.4719 4.5920 4.4897
1.4972 3.4874 9.1578
4.3121 1.8404 4.6172



GGA-PBE LiSiBiO4, optimized geometry; space-group type = P6_3; polymorph energy (0 for the lowest one) = 0.043 eV/atom
1.0
3.6284 8.2098 0.3824
-4.8447 -3.0960 6.9033
6.9225 -3.2185 3.4147
Li Si Bi O
6 6 6 24
Cartesian
-1.4380 -2.7246 5.6136
1.2652 0.7021 3.3636
-0.5482 1.5576 7.8460
6.3531 0.2918 2.9032
4.5398 1.1473 7.3856
7.2429 4.5740 5.1355
2.8360 -4.7073 7.6545
5.5237 -1.2220 5.4908
3.6686 -0.4632 9.9669
3.7134 1.5793 1.5602
1.8582 2.3382 6.0363
4.5460 5.8234 3.8726
4.8747 -2.5332 8.1309
1.7704 -1.0899 6.5996
6.5538 -3.0471 3.2329
3.0926 -1.4379 1.5255
4.2379 2.8447 4.2499
1.1336 4.2880 2.7186
1.5128 -4.5397 8.6643
-2.7927 -1.4696 5.2590
3.0544 -3.3961 6.6703
-0.3571 -1.7573 7.0245
1.2764 -1.0449 4.3846
4.8615 -2.0662 4.2072
2.7939 -1.4826 9.0017
-0.5548 0.8595 2.9177
-1.7170 2.1646 6.5038
2.3467 0.6151 1.5917
4.3778 -0.6760 6.5511
1.0876 1.0690 6.7596
6.5359 -0.0651 4.8866
1.8027 2.3507 4.3833
3.7980 1.0763 9.3250
4.6263 1.0310 2.8169
3.4641 2.3362 6.4031
3.3866 3.1573 1.9327
1.2832 3.7576 6.7095
6.3471 2.0487 7.2617
7.9806 2.7611 4.6217
3.1262 5.0708 4.2642
5.7019 4.6653 4.0618
4.6319 6.2311 2.2524



GGA-PBE Gd2CuSe4O12, optimized geometry; space-group type = P2_1/c
1.0
-4.5781 5.3033 -0.1495
-4.3744 -3.9355 -5.6493
-7.4532 -6.2972 4.8567
Gd Cu Se O
4 2 8 24
Cartesian
-10.7072 -3.2065 -1.5401
-7.0307 -4.6811 -2.1988
-5.6985 -1.7229 0.5979
-9.3750 -0.2483 1.2567
-4.4762 0.6839 -2.8994
0.0000 0.0000 0.0000
-6.7562 1.8419 0.6532
-8.1655 -3.9889 1.2064
-13.3645 -5.3364 -0.8690
-4.5169 -2.3850 -2.8745
-3.0412 0.4070 -0.0731
-11.8888 -2.5444 1.9324
-8.2402 -0.9405 -2.1485
-9.6495 -6.7712 -1.5953
-9.7263 -5.2742 -2.5142
-9.7349 -0.6171 -1.2810
-6.6794 0.3448 1.5720
-6.6708 -4.3123 0.3388
-5.7690 -3.8741 2.7976
-7.1762 -0.5626 -0.8734
-10.6367 -1.0553 -3.7397
-9.2295 -4.3668 -0.0687
-8.4181 -2.6755 -2.1607
-7.9081 -6.8473 -1.5321
-10.8397 -2.1257 0.6282
-3.6452 -0.5273 1.2456
-5.5660 -2.8036 -1.5703
-12.7606 -4.4020 -2.1878
-11.1560 -1.3411 2.9815
-4.3092 -0.1764 -1.1397
-5.2497 -3.5883 -3.9236
-12.0965 -4.7530 0.1976
-14.6863 -4.4256 -0.2100
-5.2057 -0.9667 -3.5992
-1.7194 -0.5038 -0.7321
-11.2000 -3.9627 2.6570
-7.9876 -2.2539 1.2186
-8.4976 1.9180 0.5900



GGA-PBE La10US16, optimized geometry; space-group type = P-4
1.0
-0.4072 4.9209 7.1452
-0.5465 -7.1534 4.8954
8.6187 -0.2191 0.6420
La U S
10 1 16
Cartesian
2.6005 -2.3754 8.4587
0.5984 -5.1015 6.1388
6.2615 2.2961 4.0542
0.8041 2.8092 6.0773
7.2568 -1.3437 2.6288
2.9873 -0.0233 4.0692
4.8394 0.9502 7.5960
1.8804 -3.6314 2.6081
4.9028 -3.4545 5.2414
6.6709 -1.2671 10.5203
-0.4768 -1.1162 6.0203
0.7943 -1.3673 10.7086
3.3045 -5.0406 7.1666
-0.2513 -3.0611 8.1180
0.1548 0.8068 3.9865
1.4855 -0.9474 1.5728
3.6260 2.6077 5.4613
6.4250 -5.8737 6.3238
5.7391 -0.4294 5.1028
6.6253 3.2852 6.7599
7.6220 0.7500 8.5635
4.4622 -2.0971 2.5522
3.9374 -0.3731 10.1851
5.4920 -2.1128 7.8455
7.8045 -3.3989 4.6972
2.0218 0.1959 7.0507
2.0773 -2.5568 5.3662



GGA-PBE CsPbCl3, optimized geometry; space-group type = Amm2
1.0
5.7155 -5.7193 0.0000
5.7155 5.7193 0.0000
0.0000 0.0000 5.7637
Cs Pb Cl
2 2 6
Cartesian
5.7155 -0.0112 2.8818
5.7155 5.7146 2.8818
8.5823 -2.8167 0.0000
2.8486 -2.8167 0.0000
2.3843 0.0652 0.0000
2.8571 -2.5476 2.8818
8.5738 -2.5476 2.8818
5.7155 2.3905 0.0000
5.7155 -2.3912 0.0000
9.0466 0.0652 0.0000



GGA-PBE Te4Mo3WSe4, optimized geometry; space-group type = P3m1; polymorph energy (0 for the lowest one) = 0.020 eV/atom
1.0
-1.4808 3.0971 -0.2436
0.3157 -1.5196 3.0717
34.8220 17.0305 4.8460
Te Mo W Se
4 3 1 4
Cartesian
24.2780 12.0315 5.3846
0.7371 2.3501 1.0868
4.0404 3.9656 1.5465
20.9484 10.4031 4.9213
2.9878 1.6190 2.4218
16.0709 8.0176 4.2425
8.9314 6.3576 2.2271
22.0146 12.7563 4.0479
10.9879 5.5317 3.5351
14.0142 8.8435 2.9345
16.9310 10.2700 3.3404
8.0715 4.1054 3.1293



GGA-PBE TbCO3, optimized geometry; space-group type = P2_1/m
1.0
-0.0642 2.7000 4.0788
2.8994 -3.6972 2.4931
6.7733 3.7047 -2.3457
Tb C O
4 4 12
Cartesian
6.7856 3.1096 -0.4848
3.6076 2.7024 2.6683
6.0009 0.0050 1.5580
2.8229 -0.4021 4.7110
2.2507 0.8946 0.9100
6.5393 2.9417 2.5561
3.0692 -0.2342 1.6701
7.3578 1.8129 3.3162
1.4667 1.5373 1.8562
1.4970 0.2635 -0.0680
3.2009 1.7794 0.3393
7.3871 3.8597 1.9617
5.7307 2.3371 1.5700
5.7006 3.6013 3.4798
3.9079 -0.8938 0.7464
3.8779 0.3704 2.6562
2.2214 -1.1522 2.2645
6.4076 0.9281 3.8869
8.1115 2.4440 4.2942
8.1418 1.1702 2.3700



GGA-PBE Sr2PIO4, optimized geometry; space-group type = P2_1/c
1.0
-5.2366 0.0423 -7.3439
2.3141 -8.0446 -1.6964
-5.5863 -6.1894 3.9477
Sr P I O
8 4 4 16
Cartesian
-1.3638 -4.5996 -2.4317
-8.8770 -5.5652 -2.6191
-7.1450 -9.5921 -2.6609
0.3682 -8.6265 -2.4736
-3.7251 -12.2987 -1.0578
-4.4526 -5.9086 -6.0414
-4.7836 -1.8930 -4.0348
-4.0562 -8.2831 0.9488
-3.8991 -11.8865 2.1197
-1.3942 -6.3441 -5.1736
-4.6097 -2.3052 -7.2123
-7.1146 -7.8476 0.0810
-5.8426 -9.0799 -5.8990
-3.1203 -9.1211 -2.3013
-2.6662 -5.1118 0.8064
-5.3885 -5.0706 -2.7913
0.3319 -6.1709 -1.1905
-5.9335 -12.0572 -2.2959
-8.8406 -8.0208 -3.9021
-2.5753 -2.1345 -2.7967
-0.3269 -2.7420 -1.0214
-7.8917 -7.4391 -1.1934
-8.1819 -11.4497 -4.0713
-0.6171 -6.7526 -3.8992
-2.2837 -7.4586 -5.7817
-4.1780 -10.7626 1.0891
-6.2251 -6.7331 0.6891
-4.3308 -3.4291 -6.1817
-6.1773 -9.0449 -0.2680
-5.2386 -1.1104 -6.4308
-2.3314 -5.1468 -4.8246
-3.2702 -13.0814 1.3382



Values of electronic total energy, in order: -3.83 -8.70 -6.52 -7.23 -6.79 -3.55 -6.40 -8.09 -6.48, all in eV/atom.